This record from the Materials Project database describes crystalline Si2H2O3 at its relaxed geometry. The functional is PBE-GGA.

Results
Energy of formation in kJ/mol of atoms: -137.6
V in Å³ per cell: 1028
Energy above the most stable polymorph in this dataset in kJ/mol of atoms: 62.8
VASP energy in eV per cell: -404.0

a = 11.0456 Å, b = 11.0456 Å, c = 14.4537 Å
α = 55.29°, β = 55.29°, γ = 48.27°
Closest atoms and distances in Å follow each position.
Element x y z (fractional)
Si: 0.7385 0.3023 0.1037  1 O 1.63
Si: 0.6203 0.2032 0.6958  1 O 1.64
Si: 0.2032 0.6203 0.1958  1 O 1.64
Si: 0.3023 0.7385 0.6037  1 O 1.63
Si: 0.7272 0.8941 0.2725  3 O 1.82-1.87
Si: 0.1537 0.6458 0.4531  2 O 1.67-1.69
Si: 0.8331 0.3834 0.5323  2 O 1.69-1.72
Si: 0.3184 0.6821 0.8774  3 O 1.82-1.88
Si: 0.8941 0.7272 0.7725  3 O 1.82-1.87
Si: 0.2448 0.1132 0.4768  2 O 1.65-1.69
Si: 0.1132 0.2448 0.9768  2 O 1.65-1.69
Si: 0.3834 0.8331 0.0323  2 O 1.69-1.72
Si: 0.4133 0.7823 0.2925  1 O 1.64
Si: 0.6821 0.3184 0.3774  3 O 1.82-1.88
Si: 0.7542 0.8715 0.5222  1 O 1.64
Si: 0.6458 0.1537 0.9531  2 O 1.67-1.69
Si: 0.2796 0.1065 0.7213  2 O 1.76-1.80
Si: 0.7823 0.4133 0.7925  1 O 1.64
Si: 0.8715 0.7542 0.0222  1 O 1.64
Si: 0.1065 0.2796 0.2213  2 O 1.76-1.80
H: 0.7609 0.5856 0.6030  1 O 0.99
H: 0.6265 0.1300 0.5570  1 O 1.00
H: 0.3400 0.0588 0.2755  1 O 0.99
H: 0.5607 0.9380 0.4506  1 O 0.99
H: 0.1300 0.6265 0.0570  1 O 1.00
H: 0.9426 0.6249 0.2845  1 O 0.99
H: 0.4040 0.1382 0.5265  1 O 0.98
H: 0.2098 0.9234 0.8978  1 O 0.99
H: 0.1382 0.4040 0.0265  1 O 0.98
H: 0.1194 0.6919 0.6140  1 O 1.00
H: 0.2237 0.4340 0.3870  1 O 0.98
H: 0.5409 0.4178 0.2627  1 O 0.98
H: 0.9380 0.5607 0.9506  1 O 0.99
H: 0.6919 0.1194 0.1140  1 O 1.00
H: 0.9234 0.2098 0.3978  1 O 0.99
H: 0.4178 0.5409 0.7627  1 O 0.98
H: 0.5856 0.7609 0.1030  1 O 0.99
H: 0.4340 0.2237 0.8870  1 O 0.98
H: 0.6249 0.9426 0.7845  1 O 0.99
H: 0.0588 0.3400 0.7755  1 O 0.99
O: 0.4683 0.7810 0.1461  1 H 0.99
O: 0.0478 0.2746 0.4996  2 Si 1.65-1.69
O: 0.7660 0.2442 0.8522  2 Si 1.64-1.67
O: 0.7878 0.2222 0.6360  2 Si 1.64-1.72
O: 0.0798 0.7518 0.6662  1 H 1.00
O: 0.0632 0.2660 0.7544  1 H 0.99
O: 0.2660 0.0632 0.2544  1 H 0.99
O: 0.9500 0.7244 0.2595  1 H 0.99
O: 0.2258 0.9392 0.5759  2 Si 1.63-1.69
O: 0.2222 0.7878 0.1360  2 Si 1.64-1.72
O: 0.3085 0.1168 0.5817  1 H 0.98
O: 0.2746 0.0478 0.9996  2 Si 1.65-1.69
O: 0.2306 0.5386 0.3398  1 H 0.98
O: 0.5386 0.2306 0.8398  1 H 0.98
O: 0.7810 0.4683 0.6461  1 H 0.99
O: 0.2442 0.7660 0.3522  2 Si 1.64-1.67
O: 0.6788 0.9171 0.4105  1 H 0.99
O: 0.3290 0.6616 0.7563  1 H 0.98
O: 0.9171 0.6788 0.9105  1 H 0.99
O: 0.9392 0.2258 0.0759  2 Si 1.63-1.69
O: 0.9163 0.2304 0.3245  1 H 0.99
O: 0.7518 0.0798 0.1662  1 H 1.00
O: 0.2304 0.9163 0.8245  1 H 0.99
O: 0.7940 0.9549 0.9415  2 Si 1.64-1.69
O: 0.1168 0.3085 0.0817  1 H 0.98
O: 0.6884 0.1088 0.4789  1 H 1.00
O: 0.6616 0.3290 0.2563  1 H 0.98
O: 0.7244 0.9500 0.7595  1 H 0.99
O: 0.9549 0.7940 0.4415  2 Si 1.64-1.69
O: 0.1088 0.6884 0.9789  1 H 1.00

=====

This record from the Materials Project database describes crystalline NaDyO2 at its relaxed geometry. The functional is PBE-GGA.

Results
Energy of formation in kJ/mol of atoms: -303.7
V in Å³ per cell: 57
VASP energy in eV per cell: -27.0

a = 5.9129 Å, b = 5.9129 Å, c = 5.9129 Å
α = 33.73°, β = 33.73°, γ = 33.73°
Closest atoms and distances in Å follow each position.
Element x y z (fractional)
Na: 0.0000 0.0000 0.0000  6 O 2.55
Dy: 0.5000 0.5000 0.5000  6 O 2.31
O: 0.7628 0.7628 0.7628  3 Dy 2.31, 3 Na 2.55
O: 0.2372 0.2372 0.2372  3 Dy 2.31, 3 Na 2.55

=====

This record from the Materials Project database describes crystalline MgH12S2O9 at its relaxed geometry. The functional is PBE-GGA.

Results
Energy of formation in kJ/mol of atoms: -137.9
V in Å³ per cell: 951
VASP energy in eV per cell: -493.0

a = 6.8993 Å, b = 9.5001 Å, c = 14.5107 Å
α = 90.00°, β = 90.00°, γ = 90.00°
Closest atoms and distances in Å follow each position.
Element x y z (fractional)
O: 0.4716 0.9540 0.3347  1 S 1.48
O: 0.6475 0.6578 0.9189  2 H 1.00
O: 0.8525 0.1578 0.9189  2 H 1.00
O: 0.4692 0.3744 0.6151  2 H 0.99
O: 0.1475 0.8422 0.4189  2 H 1.00
O: 0.7597 0.3985 0.0246  2 H 0.99
O: 0.9716 0.5460 0.8347  1 S 1.48
O: 0.3525 0.3422 0.4189  2 H 1.00
O: 0.2403 0.6015 0.5246  2 H 0.99
O: 0.9716 0.5460 0.6653  1 S 1.48
O: 0.1475 0.8422 0.0811  2 H 1.00
O: 0.4716 0.9540 0.1653  1 S 1.48
O: 0.2685 0.5900 0.2500  1 S 1.49
O: 0.0284 0.4540 0.1653  1 S 1.48
O: 0.7403 0.8985 0.4754  2 H 0.99
O: 0.2315 0.0900 0.2500  1 S 1.49
O: 0.2597 0.1015 0.5246  2 H 0.99
O: 0.4692 0.3744 0.8849  2 H 0.99
O: 0.9692 0.1256 0.3849  2 H 0.99
O: 0.9692 0.1256 0.1151  2 H 0.99
O: 0.7403 0.8985 0.0246  2 H 0.99
O: 0.7685 0.9100 0.7500  1 S 1.49
O: 0.0308 0.8744 0.6151  2 H 0.99
O: 0.3525 0.3422 0.0811  2 H 1.00
O: 0.5308 0.6256 0.1151  2 H 0.99
O: 0.8525 0.1578 0.5811  2 H 1.00
O: 0.5308 0.6256 0.3849  2 H 0.99
O: 0.6475 0.6578 0.5811  2 H 1.00
O: 0.5284 0.0460 0.8347  1 S 1.48
O: 0.7597 0.3985 0.4754  2 H 0.99
O: 0.0284 0.4540 0.3347  1 S 1.48
O: 0.7315 0.4100 0.7500  1 S 1.49
O: 0.0308 0.8744 0.8849  2 H 0.99
O: 0.5284 0.0460 0.6653  1 S 1.48
O: 0.2597 0.1015 0.9754  2 H 0.99
O: 0.2403 0.6015 0.9754  2 H 0.99
H: 0.0725 0.1172 0.3375  1 O 0.99
H: 0.9275 0.8828 0.6625  1 O 0.99
H: 0.1503 0.8506 0.6493  1 O 0.99
H: 0.0646 0.8058 0.3681  1 O 1.00
H: 0.2679 0.8773 0.1115  1 O 1.00
H: 0.1992 0.6870 0.0090  1 O 0.99
H: 0.4275 0.6172 0.3375  1 O 0.99
H: 0.8497 0.1494 0.3507  1 O 0.99
H: 0.3511 0.0849 0.9243  1 O 0.99
H: 0.8511 0.4151 0.4243  1 O 0.99
H: 0.9275 0.8828 0.8375  1 O 0.99
H: 0.6489 0.9151 0.4243  1 O 0.99
H: 0.6503 0.6494 0.1493  1 O 0.99
H: 0.5725 0.3828 0.8375  1 O 0.99
H: 0.3511 0.0849 0.5757  1 O 0.99
H: 0.7679 0.6227 0.8885  1 O 1.00
H: 0.3008 0.1870 0.4910  1 O 0.99
H: 0.9354 0.1942 0.6319  1 O 1.00
H: 0.5646 0.6942 0.6319  1 O 1.00
H: 0.5725 0.3828 0.6625  1 O 0.99
H: 0.6992 0.8130 0.9910  1 O 0.99
H: 0.7321 0.1227 0.8885  1 O 1.00
H: 0.8511 0.4151 0.0757  1 O 0.99
H: 0.9354 0.1942 0.8681  1 O 1.00
H: 0.8008 0.3130 0.9910  1 O 0.99
H: 0.4354 0.3058 0.3681  1 O 1.00
H: 0.3497 0.3506 0.8507  1 O 0.99
H: 0.5646 0.6942 0.8681  1 O 1.00
H: 0.2321 0.3773 0.1115  1 O 1.00
H: 0.2321 0.3773 0.3885  1 O 1.00
H: 0.1992 0.6870 0.4910  1 O 0.99
H: 0.1489 0.5849 0.9243  1 O 0.99
H: 0.1489 0.5849 0.5757  1 O 0.99
H: 0.7679 0.6227 0.6115  1 O 1.00
H: 0.8008 0.3130 0.5090  1 O 0.99
H: 0.4354 0.3058 0.1319  1 O 1.00
H: 0.3497 0.3506 0.6493  1 O 0.99
H: 0.7321 0.1227 0.6115  1 O 1.00
H: 0.2679 0.8773 0.3885  1 O 1.00
H: 0.6503 0.6494 0.3507  1 O 0.99
H: 0.6489 0.9151 0.0757  1 O 0.99
H: 0.0725 0.1172 0.1625  1 O 0.99
H: 0.3008 0.1870 0.0090  1 O 0.99
H: 0.6992 0.8130 0.5090  1 O 0.99
H: 0.8497 0.1494 0.1493  1 O 0.99
H: 0.1503 0.8506 0.8507  1 O 0.99
H: 0.4275 0.6172 0.1625  1 O 0.99
H: 0.0646 0.8058 0.1319  1 O 1.00
Mg: 0.5000 0.5000 0.0000  6 O 2.06-2.16
Mg: 0.0000 0.0000 0.0000  6 O 2.06-2.16
Mg: 0.5000 0.5000 0.5000  6 O 2.06-2.16
Mg: 0.0000 0.0000 0.5000  6 O 2.06-2.16
S: 0.1104 0.2897 0.7500  1 S 2.04, 2 H 2.28
S: 0.6104 0.2103 0.2500  1 S 2.04, 2 H 2.28
S: 0.3896 0.7897 0.7500  1 S 2.04, 2 H 2.28
S: 0.5644 0.9626 0.7500  3 O 1.48-1.49
S: 0.9356 0.4626 0.7500  3 O 1.48-1.49
S: 0.8896 0.7103 0.2500  1 S 2.04, 2 H 2.28
S: 0.4356 0.0374 0.2500  3 O 1.48-1.49
S: 0.0644 0.5374 0.2500  3 O 1.48-1.49

=====

This record from the Materials Project database describes crystalline FeS2 at its relaxed geometry. The functional is PBE-GGA.

Results
Energy of formation in kJ/mol of atoms: -39.6
V in Å³ per cell: 209
VASP energy in eV per cell: -67.9

a = 5.6736 Å, b = 5.7557 Å, c = 6.4191 Å
α = 87.82°, β = 90.00°, γ = 90.00°
Closest atoms and distances in Å follow each position.
Element x y z (fractional)
S: 0.3892 0.1207 0.7282  1 S 2.20, 3 Fe 2.33-2.41
S: 0.8870 0.1469 0.2728  1 S 2.20, 3 Fe 2.32-2.43
S: 0.3892 0.3793 0.2718  1 S 2.20, 3 Fe 2.33-2.41
S: 0.8870 0.3531 0.7272  1 S 2.20, 3 Fe 2.32-2.43
S: 0.1130 0.6469 0.2728  1 S 2.20, 3 Fe 2.32-2.43
S: 0.6108 0.6207 0.7282  1 S 2.20, 3 Fe 2.33-2.41
S: 0.6108 0.8793 0.2718  1 S 2.20, 3 Fe 2.33-2.41
S: 0.1130 0.8531 0.7272  1 S 2.20, 3 Fe 2.32-2.43
Fe: 0.7507 0.5104 0.3923  6 S 2.32-2.43
Fe: 0.2493 0.4896 0.6077  6 S 2.32-2.43
Fe: 0.2493 0.0104 0.3923  6 S 2.32-2.43
Fe: 0.7507 0.9896 0.6077  6 S 2.32-2.43

=====

This record from the Materials Project database describes crystalline Pr2CdPb at its relaxed geometry. The functional is PBE-GGA.

Results
Energy of formation in kJ/mol of atoms: -42.8
V in Å³ per cell: 120
VASP energy in eV per cell: -16.0

a = 5.5385 Å, b = 5.5385 Å, c = 5.5385 Å
α = 60.00°, β = 60.00°, γ = 60.00°
Closest atoms and distances in Å follow each position.
Element x y z (fractional)
Cd: 0.5000 0.5000 0.5000  8 Pr 3.39
Pr: 0.2500 0.2500 0.2500  4 Cd 3.39, 4 Pb 3.39
Pr: 0.7500 0.7500 0.7500  4 Cd 3.39, 4 Pb 3.39
Pb: 0.0000 0.0000 0.0000  8 Pr 3.39